# Ba3Fe3Se7

A relaxed structure of Ba3Fe3Se7 (PBE, the Materials Project).

Structure (POSCAR):
```
Ba3Fe3Se7
1.0
5.510 -9.544 0.000
5.510 9.544 0.000
0.000 0.000 7.353
Se Fe Ba
14 6 6
direct
0.545 0.455 0.815
0.910 0.455 0.815
0.455 0.545 0.315
0.333 0.667 0.748
0.667 0.333 0.248
0.863 0.725 0.076
0.137 0.275 0.576
0.090 0.545 0.315
0.863 0.137 0.076
0.455 0.910 0.315
0.137 0.863 0.576
0.275 0.137 0.076
0.725 0.863 0.576
0.545 0.090 0.815
0.745 0.255 0.989
0.510 0.255 0.989
0.255 0.745 0.489
0.490 0.745 0.489
0.745 0.490 0.989
0.255 0.510 0.489
0.186 0.814 0.004
0.814 0.628 0.504
0.628 0.814 0.004
0.186 0.372 0.004
0.372 0.186 0.504
0.814 0.186 0.504
```

Properties
magnetic moment: 20.01 μB per cell
symmetry: P6_3mc (186)
final energy: -5.344 eV per atom
calculated volume: 29.745 Å³ per atom



# Cs2KMoBr6

A relaxed structure of Cs2KMoBr6 (PBE, the Materials Project).

Structure (POSCAR):
```
Cs2KMoBr6
1.0
0.000 5.787 5.787
5.787 0.000 5.787
5.787 5.787 0.000
Br Cs K Mo
6 2 1 1
direct
0.226 0.774 0.226
0.226 0.774 0.774
0.774 0.226 0.226
0.774 0.774 0.226
0.226 0.226 0.774
0.774 0.226 0.774
0.750 0.750 0.750
0.250 0.250 0.250
0.500 0.500 0.500
0.000 0.000 0.000
```

Properties
magnetic moment: 3.00 μB per cell
symmetry: Fm-3m (225)
final energy: -3.660 eV per atom
calculated volume: 38.769 Å³ per atom



# Tl4Bi2S5

A relaxed structure of Tl4Bi2S5 (PBE, the Materials Project).

Structure (POSCAR):
```
Tl4Bi2S5
1.0
4.154 0.000 0.000
0.000 17.381 0.000
0.000 0.000 17.773
S Tl Bi
20 16 8
direct
0.750 0.044 0.242
0.250 0.679 0.764
0.250 0.436 0.418
0.750 0.050 0.593
0.750 0.321 0.236
0.250 0.956 0.758
0.750 0.337 0.596
0.250 0.663 0.404
0.250 0.456 0.742
0.750 0.821 0.264
0.250 0.936 0.082
0.750 0.837 0.904
0.250 0.163 0.096
0.750 0.064 0.918
0.250 0.450 0.093
0.750 0.564 0.582
0.250 0.179 0.736
0.750 0.550 0.907
0.750 0.544 0.258
0.250 0.950 0.407
0.750 0.070 0.416
0.250 0.930 0.584
0.250 0.689 0.580
0.250 0.185 0.261
0.750 0.817 0.428
0.250 0.430 0.916
0.750 0.317 0.072
0.250 0.683 0.928
0.250 0.685 0.239
0.250 0.183 0.572
0.750 0.311 0.420
0.250 0.189 0.920
0.750 0.815 0.739
0.750 0.811 0.080
0.750 0.315 0.761
0.750 0.570 0.084
0.750 0.058 0.089
0.250 0.430 0.243
0.750 0.558 0.411
0.250 0.942 0.911
0.750 0.070 0.743
0.750 0.570 0.757
0.250 0.930 0.257
0.250 0.442 0.589
```

Properties
symmetry: Pnma (62)
final energy: -3.853 eV per atom
calculated volume: 29.160 Å³ per atom



# TmBe13

A relaxed structure of TmBe13 (PBE, the Materials Project).

Structure (POSCAR):
```
TmBe13
1.0
3.895 -5.955 0.791
-2.737 -6.344 -1.878
2.520 -3.422 -5.763
Be Tm
26 2
direct
0.292 0.937 0.708
0.208 0.437 0.792
0.563 0.792 0.437
0.708 0.292 0.937
0.792 0.208 0.437
0.708 0.937 0.063
0.500 0.500 0.500
0.292 0.708 0.063
0.937 0.292 0.063
0.437 0.208 0.563
0.208 0.563 0.437
0.792 0.437 0.563
0.563 0.208 0.792
0.792 0.563 0.208
0.437 0.792 0.208
0.563 0.437 0.208
0.063 0.937 0.292
0.208 0.792 0.563
0.000 0.000 0.000
0.708 0.063 0.292
0.063 0.708 0.937
0.937 0.708 0.292
0.292 0.063 0.937
0.937 0.063 0.708
0.437 0.563 0.792
0.063 0.292 0.708
0.750 0.750 0.750
0.250 0.250 0.250
```

Properties
symmetry: Fm-3c (226)
final energy: -3.977 eV per atom
calculated volume: 9.270 Å³ per atom



# RbGaSnSe4

A relaxed structure of RbGaSnSe4 (PBE, the Materials Project).

Structure (POSCAR):
```
RbGaSnSe4
1.0
-3.726 -12.383 -2.603
5.505 -2.646 4.708
-10.592 -0.051 15.408
Sn Se Ga Rb
8 32 8 8
direct
0.703 0.741 0.183
0.184 0.278 0.986
0.816 0.722 0.014
0.203 0.259 0.317
0.297 0.259 0.817
0.797 0.741 0.683
0.684 0.722 0.514
0.316 0.278 0.486
0.873 0.750 0.552
0.891 0.715 0.143
0.627 0.750 0.052
0.391 0.285 0.357
0.609 0.715 0.643
0.124 0.516 0.242
0.361 0.271 0.153
0.132 0.771 0.646
0.162 0.964 0.274
0.876 0.484 0.758
0.376 0.516 0.742
0.338 0.964 0.774
0.838 0.036 0.726
0.624 0.484 0.258
0.651 0.426 0.469
0.849 0.426 0.969
0.383 0.018 0.566
0.349 0.574 0.531
0.883 0.982 0.934
0.368 0.771 0.146
0.109 0.285 0.857
0.861 0.729 0.347
0.662 0.036 0.226
0.373 0.250 0.948
0.127 0.250 0.448
0.617 0.982 0.434
0.632 0.229 0.854
0.117 0.018 0.066
0.639 0.729 0.847
0.151 0.574 0.031
0.868 0.229 0.354
0.139 0.271 0.653
0.246 0.015 0.657
0.252 0.527 0.145
0.754 0.985 0.343
0.746 0.985 0.843
0.248 0.527 0.645
0.752 0.473 0.355
0.748 0.473 0.855
0.254 0.015 0.157
0.893 0.248 0.549
0.107 0.752 0.451
0.933 0.230 0.167
0.067 0.770 0.833
0.433 0.770 0.333
0.607 0.248 0.049
0.393 0.752 0.951
0.567 0.230 0.667
```

Properties
magnetic moment: 0.01 μB per cell
symmetry: P2_1/c (14)
final energy: -3.864 eV per atom
calculated volume: 33.798 Å³ per atom



# MgSn2

A relaxed structure of MgSn2 (PBE, the Materials Project).

Structure (POSCAR):
```
MgSn2
1.0
1.656 6.442 0.000
-1.656 6.442 0.000
0.000 1.840 7.279
Mg Sn
2 4
direct
0.639 0.639 0.471
0.361 0.361 0.529
0.302 0.302 0.147
0.973 0.973 0.794
0.698 0.698 0.853
0.027 0.027 0.206
```

Properties
magnetic moment: 0.01 μB per cell
symmetry: C2/m (12)
final energy: -3.219 eV per atom
calculated volume: 25.891 Å³ per atom